No. 1
A relaxed Cd3In2Se6 crystal. Source: the Materials Project database, functional GGA-PBE.

a = 8.187 Å, b = 8.187 Å, c = 8.187 Å
α = 54.40°, β = 54.40°, γ = 54.40°
Fractional positions:
Cd 0.005 0.309 0.686
Cd 0.309 0.686 0.005
Cd 0.686 0.005 0.309
In 0.163 0.163 0.163
In 0.500 0.500 0.500
Se 0.119 0.474 0.795
Se 0.291 0.291 0.291
Se 0.474 0.795 0.119
Se 0.627 0.627 0.627
Se 0.795 0.119 0.474
Se 0.945 0.945 0.945

No. 2
A relaxed CdP2O10 crystal. Source: the Materials Project database, functional GGA-PBE.

Computed properties:
The relative energy among the computed polymorphs comes out at 3.81 eV per formula unit.

a = 5.145 Å, b = 9.956 Å, c = 8.633 Å
α = 90.00°, β = 119.57°, γ = 90.00°
Fractional positions:
Cd 0.000 0.000 0.000
Cd 0.000 0.500 0.500
P 0.408 0.204 0.667
P 0.408 0.296 0.167
P 0.592 0.704 0.833
P 0.592 0.796 0.333
O 0.083 0.530 0.256
O 0.083 0.970 0.756
O 0.114 0.163 0.667
O 0.114 0.337 0.167
O 0.310 0.667 0.661
O 0.310 0.833 0.161
O 0.398 0.143 0.130
O 0.398 0.357 0.630
O 0.399 0.133 0.505
O 0.399 0.367 0.005
O 0.601 0.633 0.995
O 0.601 0.867 0.495
O 0.602 0.643 0.370
O 0.602 0.857 0.870
O 0.690 0.167 0.839
O 0.690 0.333 0.339
O 0.886 0.663 0.833
O 0.886 0.837 0.333
O 0.917 0.030 0.244
O 0.917 0.470 0.744

No. 3
A relaxed Cu4H10SO12 crystal. Source: the Materials Project database, functional GGA-PBE.

a = 7.631 Å, b = 6.021 Å, c = 11.587 Å
α = 90.00°, β = 90.83°, γ = 90.00°
Fractional positions:
Cu 0.000 0.001 0.000
Cu 0.000 0.999 0.500
Cu 0.001 0.265 0.747
Cu 0.001 0.498 0.501
Cu 0.001 0.502 0.001
Cu 0.001 0.735 0.247
Cu 0.998 0.248 0.252
Cu 0.998 0.752 0.752
H 0.234 0.005 0.349
H 0.234 0.995 0.849
H 0.243 0.377 0.122
H 0.243 0.623 0.622
H 0.247 0.496 0.836
H 0.247 0.504 0.336
H 0.263 0.244 0.524
H 0.263 0.756 0.024
H 0.494 0.265 0.777
H 0.494 0.735 0.277
H 0.527 0.484 0.710
H 0.527 0.516 0.210
H 0.654 0.153 0.418
H 0.654 0.847 0.918
H 0.665 0.392 0.368
H 0.665 0.608 0.868
H 0.746 0.269 0.961
H 0.746 0.731 0.461
H 0.766 0.003 0.162
H 0.766 0.997 0.662
S 0.464 0.165 0.077
S 0.464 0.835 0.577
O 0.106 0.002 0.841
O 0.106 0.998 0.341
O 0.118 0.494 0.343
O 0.118 0.506 0.843
O 0.146 0.251 0.557
O 0.146 0.749 0.057
O 0.256 0.223 0.094
O 0.256 0.777 0.594
O 0.464 0.039 0.968
O 0.464 0.961 0.468
O 0.487 0.427 0.785
O 0.487 0.573 0.285
O 0.516 0.032 0.177
O 0.516 0.968 0.677
O 0.549 0.382 0.070
O 0.549 0.618 0.570
O 0.739 0.265 0.393
O 0.739 0.735 0.893
O 0.868 0.254 0.937
O 0.868 0.746 0.437
O 0.896 0.006 0.659
O 0.896 0.994 0.159
O 0.921 0.485 0.157
O 0.921 0.515 0.657

No. 4
A relaxed HfIr crystal. Source: the Materials Project database, functional GGA-PBE.

a = 3.169 Å, b = 4.483 Å, c = 5.302 Å
α = 90.00°, β = 106.38°, γ = 90.00°
Fractional positions:
Hf 0.138 0.250 0.287
Hf 0.862 0.750 0.713
Ir 0.413 0.250 0.816
Ir 0.587 0.750 0.184

No. 5
A relaxed Ag2GeO3 crystal. Source: the Materials Project database, functional GGA-PBE.

Computed properties:
As for the piezoelectric modulus e_max: 0.31 C/m².

a = 4.755 Å, b = 7.141 Å, c = 10.552 Å
α = 90.00°, β = 90.00°, γ = 90.00°
Fractional positions:
Ag 0.020 0.107 0.279
Ag 0.096 0.122 0.624
Ag 0.404 0.878 0.124
Ag 0.480 0.893 0.779
Ag 0.520 0.393 0.721
Ag 0.596 0.378 0.376
Ag 0.904 0.622 0.876
Ag 0.980 0.607 0.221
Ge 0.033 0.631 0.564
Ge 0.467 0.369 0.064
Ge 0.533 0.869 0.436
Ge 0.967 0.131 0.936
O 0.127 0.914 0.961
O 0.205 0.641 0.713
O 0.217 0.324 0.939
O 0.283 0.676 0.439
O 0.295 0.359 0.213
O 0.373 0.086 0.461
O 0.627 0.586 0.039
O 0.705 0.859 0.287
O 0.717 0.176 0.061
O 0.783 0.824 0.561
O 0.795 0.141 0.787
O 0.873 0.414 0.539

No. 6
A relaxed Nb4CrSe8 crystal. Source: the Materials Project database, functional GGA-PBE.

a = 6.979 Å, b = 6.979 Å, c = 13.836 Å
α = 90.00°, β = 90.00°, γ = 120.00°
Fractional positions:
Nb 0.000 0.000 0.000
Nb 0.000 0.000 0.500
Nb 0.000 0.500 0.000
Nb 0.000 0.500 0.500
Nb 0.500 0.000 0.000
Nb 0.500 0.000 0.500
Nb 0.500 0.500 0.000
Nb 0.500 0.500 0.500
Cr 0.000 0.000 0.250
Cr 0.000 0.000 0.750
Se 0.167 0.335 0.123
Se 0.167 0.335 0.377
Se 0.167 0.833 0.123
Se 0.167 0.833 0.377
Se 0.333 0.667 0.621
Se 0.333 0.667 0.879
Se 0.335 0.167 0.623
Se 0.335 0.167 0.877
Se 0.665 0.833 0.123
Se 0.665 0.833 0.377
Se 0.667 0.333 0.121
Se 0.667 0.333 0.379
Se 0.833 0.167 0.623
Se 0.833 0.167 0.877
Se 0.833 0.665 0.623
Se 0.833 0.665 0.877

No. 7
A relaxed Li13Ga21Cu6 crystal. Source: the Materials Project database, functional GGA-PBE.

a = 11.816 Å, b = 11.816 Å, c = 11.816 Å
α = 109.47°, β = 109.47°, γ = 109.47°
Fractional positions:
Li 0.000 0.000 0.373
Li 0.000 0.000 0.627
Li 0.000 0.373 0.000
Li 0.000 0.627 0.000
Li 0.116 0.420 0.304
Li 0.116 0.811 0.696
Li 0.189 0.304 0.884
Li 0.205 0.705 0.500
Li 0.295 0.500 0.795
Li 0.304 0.116 0.420
Li 0.304 0.884 0.189
Li 0.373 0.000 0.000
Li 0.373 0.373 0.373
Li 0.420 0.304 0.116
Li 0.500 0.205 0.705
Li 0.500 0.795 0.295
Li 0.580 0.696 0.884
Li 0.627 0.000 0.000
Li 0.627 0.627 0.627
Li 0.696 0.116 0.811
Li 0.696 0.884 0.580
Li 0.705 0.500 0.205
Li 0.795 0.295 0.500
Li 0.811 0.696 0.116
Li 0.884 0.189 0.304
Li 0.884 0.580 0.696
Ga 0.030 0.246 0.595
Ga 0.030 0.436 0.785
Ga 0.062 0.903 0.160
Ga 0.093 0.500 0.593
Ga 0.097 0.160 0.257
Ga 0.097 0.840 0.938
Ga 0.160 0.062 0.903
Ga 0.160 0.257 0.097
Ga 0.215 0.651 0.246
Ga 0.215 0.970 0.564
Ga 0.246 0.215 0.651
Ga 0.246 0.595 0.030
Ga 0.257 0.097 0.160
Ga 0.349 0.564 0.595
Ga 0.349 0.754 0.785
Ga 0.405 0.651 0.436
Ga 0.405 0.970 0.754
Ga 0.407 0.907 0.500
Ga 0.436 0.405 0.651
Ga 0.436 0.785 0.030
Ga 0.500 0.407 0.907
Ga 0.500 0.593 0.093
Ga 0.564 0.215 0.970
Ga 0.564 0.595 0.349
Ga 0.593 0.093 0.500
Ga 0.595 0.030 0.246
Ga 0.595 0.349 0.564
Ga 0.651 0.246 0.215
Ga 0.651 0.436 0.405
Ga 0.743 0.903 0.840
Ga 0.754 0.405 0.970
Ga 0.754 0.785 0.349
Ga 0.785 0.030 0.436
Ga 0.785 0.349 0.754
Ga 0.840 0.743 0.903
Ga 0.840 0.938 0.097
Ga 0.903 0.160 0.062
Ga 0.903 0.840 0.743
Ga 0.907 0.500 0.407
Ga 0.938 0.097 0.840
Ga 0.970 0.564 0.215
Ga 0.970 0.754 0.405
Cu 0.140 0.822 0.318
Cu 0.178 0.318 0.495
Cu 0.178 0.682 0.860
Cu 0.318 0.140 0.822
Cu 0.318 0.495 0.178
Cu 0.495 0.178 0.318
Cu 0.505 0.822 0.682
Cu 0.682 0.505 0.822
Cu 0.682 0.860 0.178
Cu 0.822 0.318 0.140
Cu 0.822 0.682 0.505
Cu 0.860 0.178 0.682

No. 8
A relaxed Mg14CrSb crystal. Source: the Materials Project database, functional GGA-PBE.

Computed properties:
The relative energy among the computed polymorphs comes out at 0.00 eV per formula unit.

a = 10.335 Å, b = 6.328 Å, c = 6.328 Å
α = 59.80°, β = 90.00°, γ = 90.00°
Fractional positions:
Mg 0.000 0.000 0.000
Mg 0.000 0.000 0.500
Mg 0.000 0.500 0.000
Mg 0.000 0.500 0.500
Mg 0.248 0.167 0.167
Mg 0.251 0.170 0.663
Mg 0.251 0.663 0.170
Mg 0.252 0.665 0.665
Mg 0.500 0.500 0.998
Mg 0.500 0.998 0.500
Mg 0.748 0.665 0.665
Mg 0.749 0.170 0.663
Mg 0.749 0.663 0.170
Mg 0.752 0.167 0.167
Cr 0.500 0.501 0.501
Sb 0.500 0.001 0.001

No. 9
A relaxed RbBi4Se7 crystal. Source: the Materials Project database, functional GGA-PBE.

a = 11.909 Å, b = 11.909 Å, c = 19.776 Å
α = 122.76°, β = 122.76°, γ = 20.54°
Fractional positions:
Rb 0.038 0.038 0.348
Rb 0.962 0.962 0.652
Bi 0.138 0.138 0.066
Bi 0.196 0.196 0.731
Bi 0.273 0.273 0.430
Bi 0.347 0.347 0.110
Bi 0.653 0.653 0.890
Bi 0.727 0.727 0.570
Bi 0.804 0.804 0.269
Bi 0.862 0.862 0.934
Se 0.068 0.068 0.882
Se 0.136 0.136 0.561
Se 0.204 0.204 0.239
Se 0.265 0.265 0.920
Se 0.328 0.328 0.595
Se 0.398 0.398 0.276
Se 0.451 0.451 0.932
Se 0.549 0.549 0.068
Se 0.602 0.602 0.724
Se 0.672 0.672 0.405
Se 0.735 0.735 0.080
Se 0.796 0.796 0.761
Se 0.864 0.864 0.439
Se 0.932 0.932 0.118

No. 10
A relaxed La3Bi3O11 crystal. Source: the Materials Project database, functional GGA-PBE.

a = 10.170 Å, b = 10.170 Å, c = 10.170 Å
α = 90.00°, β = 90.00°, γ = 90.00°
Fractional positions:
La 0.000 0.000 0.000
La 0.000 0.500 0.500
La 0.123 0.123 0.377
La 0.123 0.377 0.123
La 0.377 0.123 0.123
La 0.377 0.377 0.377
La 0.500 0.000 0.500
La 0.500 0.500 0.000
La 0.623 0.623 0.623
La 0.623 0.877 0.877
La 0.877 0.623 0.877
La 0.877 0.877 0.623
Bi 0.084 0.750 0.250
Bi 0.250 0.084 0.750
Bi 0.250 0.416 0.750
Bi 0.250 0.750 0.584
Bi 0.250 0.750 0.916
Bi 0.416 0.750 0.250
Bi 0.584 0.250 0.750
Bi 0.750 0.250 0.084
Bi 0.750 0.250 0.416
Bi 0.750 0.584 0.250
Bi 0.750 0.916 0.250
Bi 0.916 0.250 0.750
O 0.032 0.062 0.754
O 0.032 0.438 0.746
O 0.062 0.746 0.468
O 0.062 0.754 0.032
O 0.111 0.750 0.750
O 0.148 0.148 0.148
O 0.148 0.352 0.352
O 0.246 0.532 0.562
O 0.246 0.968 0.938
O 0.250 0.250 0.611
O 0.250 0.250 0.889
O 0.250 0.611 0.250
O 0.250 0.889 0.250
O 0.254 0.532 0.938
O 0.254 0.968 0.562
O 0.352 0.148 0.352
O 0.352 0.352 0.148
O 0.389 0.750 0.750
O 0.438 0.746 0.032
O 0.438 0.754 0.468
O 0.468 0.062 0.746
O 0.468 0.438 0.754
O 0.532 0.562 0.246
O 0.532 0.938 0.254
O 0.562 0.246 0.532
O 0.562 0.254 0.968
O 0.611 0.250 0.250
O 0.648 0.648 0.852
O 0.648 0.852 0.648
O 0.746 0.032 0.438
O 0.746 0.468 0.062
O 0.750 0.111 0.750
O 0.750 0.389 0.750
O 0.750 0.750 0.111
O 0.750 0.750 0.389
O 0.754 0.032 0.062
O 0.754 0.468 0.438
O 0.852 0.648 0.648
O 0.852 0.852 0.852
O 0.889 0.250 0.250
O 0.938 0.246 0.968
O 0.938 0.254 0.532
O 0.968 0.562 0.254
O 0.968 0.938 0.246

| no. | DFT formation energy (meV per atom) |
| --- | --- |
| 1 | -829 |
| 2 | -1166 |
| 3 | -1180 |
| 4 | -948 |
| 5 | -1203 |
| 6 | -976 |
| 7 | -282 |
| 8 | 19 |
| 9 | -779 |
| 10 | -2488 |